1.
# Rb2TlRuF6 PBE optimized geometry
# ΔH_f (0 K) (eV/atom): -2.382
# Symmetry: Fm-3m (225)
# Final energy (Ha/atom): -0.1695
# Crystal system: cubic
data_Rb2TlRuF6
_chemical_formula_sum 'Rb2 Tl1 Ru1 F6'
_space_group_name_H-M_alt 'P 1'
_space_group_IT_number 1
_cell_length_a 6.5916
_cell_length_b 6.5916
_cell_length_c 6.5916
_cell_angle_alpha 60.00
_cell_angle_beta 60.00
_cell_angle_gamma 60.00
loop_
_space_group_symop_operation_xyz
'x,y,z'
loop_
_atom_site_label
_atom_site_type_symbol
_atom_site_fract_x
_atom_site_fract_y
_atom_site_fract_z
_atom_site_occupancy
Ru1 Ru 0.0000 0.0000 0.0000 1
F1 F 0.2178 0.7822 0.2178 1
F2 F 0.7822 0.7822 0.2178 1
Rb1 Rb 0.7500 0.7500 0.7500 1
Tl1 Tl 0.5000 0.5000 0.5000 1
F3 F 0.7822 0.2178 0.2178 1
F4 F 0.7822 0.2178 0.7822 1
F5 F 0.2178 0.7822 0.7822 1
Rb2 Rb 0.2500 0.2500 0.2500 1
F6 F 0.2178 0.2178 0.7822 1



2.
# RbSb2F7 PBE optimized geometry
# ΔH_f (0 K) (eV/atom): -2.812
# Symmetry: P2_1/c (14)
# Final energy (Ha/atom): -0.1747
# Crystal system: monoclinic
data_RbSb2F7
_chemical_formula_sum 'Rb4 Sb8 F28'
_space_group_name_H-M_alt 'P 1'
_space_group_IT_number 1
_cell_length_a 6.6076
_cell_length_b 9.0727
_cell_length_c 13.0376
_cell_angle_alpha 77.92
_cell_angle_beta 90.00
_cell_angle_gamma 90.00
loop_
_space_group_symop_operation_xyz
'x,y,z'
loop_
_atom_site_label
_atom_site_type_symbol
_atom_site_fract_x
_atom_site_fract_y
_atom_site_fract_z
_atom_site_occupancy
Rb1 Rb 0.7639 0.9244 0.8885 1
F1 F 0.3827 0.3712 0.3522 1
F2 F 0.4203 0.7125 0.2876 1
F3 F 0.5302 0.8974 0.6959 1
F4 F 0.7011 0.5843 0.1734 1
F5 F 0.4698 0.1026 0.3041 1
F6 F 0.5532 0.8621 0.0955 1
F7 F 0.0302 0.6026 0.3041 1
Rb2 Rb 0.2639 0.5756 0.1115 1
Sb1 Sb 0.7964 0.3354 0.5848 1
F8 F 0.5797 0.2875 0.7124 1
F9 F 0.2989 0.4157 0.8266 1
F10 F 0.2011 0.9157 0.8266 1
F11 F 0.0797 0.2125 0.2876 1
Rb3 Rb 0.7361 0.4244 0.8885 1
F12 F 0.9203 0.7875 0.7124 1
F13 F 0.0410 0.1800 0.8959 1
F14 F 0.0532 0.6379 0.9045 1
F15 F 0.4468 0.1379 0.9045 1
Sb2 Sb 0.2964 0.1646 0.4152 1
F16 F 0.5410 0.3200 0.1041 1
Sb3 Sb 0.2388 0.7178 0.7858 1
F17 F 0.9468 0.3621 0.0955 1
Sb4 Sb 0.2036 0.6646 0.4152 1
F18 F 0.5735 0.1647 0.4961 1
F19 F 0.9265 0.6647 0.4961 1
F20 F 0.8827 0.1288 0.6478 1
Sb5 Sb 0.7036 0.8354 0.5848 1
F21 F 0.4265 0.8353 0.5039 1
F22 F 0.4590 0.6800 0.8959 1
Rb4 Rb 0.2361 0.0756 0.1115 1
F23 F 0.9590 0.8200 0.1041 1
Sb6 Sb 0.7388 0.7822 0.2142 1
Sb7 Sb 0.7612 0.2822 0.2142 1
F24 F 0.9698 0.3974 0.6959 1
F25 F 0.6173 0.6288 0.6478 1
Sb8 Sb 0.2612 0.2178 0.7858 1
F26 F 0.0735 0.3353 0.5039 1
F27 F 0.7989 0.0843 0.1734 1
F28 F 0.1173 0.8712 0.3522 1



3.
# Rb2SbF5 PBE optimized geometry
# ΔH_f (0 K) (eV/atom): -2.854
# Symmetry: Pnma (62)
# Final energy (Ha/atom): -0.1662
# Crystal system: orthorhombic
data_Rb2SbF5
_chemical_formula_sum 'Rb8 Sb4 F20'
_space_group_name_H-M_alt 'P 1'
_space_group_IT_number 1
_cell_length_a 6.3921
_cell_length_b 8.5560
_cell_length_c 12.5369
_cell_angle_alpha 90.00
_cell_angle_beta 90.00
_cell_angle_gamma 90.00
loop_
_space_group_symop_operation_xyz
'x,y,z'
loop_
_atom_site_label
_atom_site_type_symbol
_atom_site_fract_x
_atom_site_fract_y
_atom_site_fract_z
_atom_site_occupancy
F1 F 0.4861 0.8301 0.3830 1
F2 F 0.2500 0.8060 0.5994 1
F3 F 0.2500 0.3060 0.9006 1
Rb1 Rb 0.7500 0.3474 0.9251 1
F4 F 0.7500 0.9334 0.7875 1
F5 F 0.0139 0.8301 0.3830 1
Sb1 Sb 0.7500 0.3202 0.5635 1
F6 F 0.5139 0.6699 0.8830 1
F7 F 0.7500 0.1940 0.4006 1
Rb2 Rb 0.7500 0.4895 0.2723 1
F8 F 0.7500 0.4334 0.7125 1
F9 F 0.5000 0.5000 0.5000 1
Sb2 Sb 0.7500 0.8202 0.9365 1
F10 F 0.2500 0.5666 0.2875 1
Rb3 Rb 0.7500 0.9895 0.2277 1
F11 F 0.0000 0.5000 0.5000 1
F12 F 0.2500 0.0666 0.2125 1
F13 F 0.0139 0.3301 0.1170 1
F14 F 0.9861 0.6699 0.8830 1
Rb4 Rb 0.7500 0.8474 0.5749 1
Rb5 Rb 0.2500 0.6526 0.0749 1
Rb6 Rb 0.2500 0.0105 0.7723 1
F15 F 0.4861 0.3301 0.1170 1
F16 F 0.7500 0.6940 0.0994 1
Rb7 Rb 0.2500 0.1526 0.4251 1
F17 F 0.0000 0.0000 0.0000 1
Rb8 Rb 0.2500 0.5105 0.7277 1
Sb3 Sb 0.2500 0.6798 0.4365 1
F18 F 0.5139 0.1699 0.6170 1
F19 F 0.9861 0.1699 0.6170 1
F20 F 0.5000 0.0000 0.0000 1
Sb4 Sb 0.2500 0.1798 0.0635 1



4.
# Rb3SbF12 PBE optimized geometry
# ΔH_f (0 K) (eV/atom): -2.060
# Symmetry: C2/m (12)
# Final energy (Ha/atom): -0.1320
# Crystal system: monoclinic
data_Rb3SbF12
_chemical_formula_sum 'Rb3 Sb1 F12'
_space_group_name_H-M_alt 'P 1'
_space_group_IT_number 1
_cell_length_a 8.2980
_cell_length_b 8.7499
_cell_length_c 7.1867
_cell_angle_alpha 68.90
_cell_angle_beta 139.41
_cell_angle_gamma 118.31
loop_
_space_group_symop_operation_xyz
'x,y,z'
loop_
_atom_site_label
_atom_site_type_symbol
_atom_site_fract_x
_atom_site_fract_y
_atom_site_fract_z
_atom_site_occupancy
F1 F 0.1057 0.8441 0.9929 1
Rb1 Rb 0.0000 0.0000 0.5000 1
F2 F 0.6120 0.6761 0.4313 1
F3 F 0.7384 0.8441 0.0071 1
F4 F 0.8943 0.1559 0.0071 1
F5 F 0.8111 0.1547 0.6118 1
Sb1 Sb 0.0000 0.0000 0.0000 1
F6 F 0.9360 0.3239 0.4313 1
Rb2 Rb 0.5000 0.5000 0.0000 1
F7 F 0.6564 0.8453 0.6118 1
F8 F 0.0640 0.6761 0.5687 1
F9 F 0.2616 0.1559 0.9929 1
F10 F 0.3880 0.3239 0.5687 1
Rb3 Rb 0.0000 0.5000 0.0000 1
F11 F 0.1889 0.8453 0.3882 1
F12 F 0.3436 0.1547 0.3882 1



5.
# Rb3ScF6 PBE optimized geometry
# ΔH_f (0 K) (eV/atom): -3.525
# Symmetry: Fm-3m (225)
# Final energy (Ha/atom): -0.1956
# Crystal system: cubic
data_Rb3ScF6
_chemical_formula_sum 'Rb3 Sc1 F6'
_space_group_name_H-M_alt 'P 1'
_space_group_IT_number 1
_cell_length_a 6.6513
_cell_length_b 6.6513
_cell_length_c 6.6513
_cell_angle_alpha 60.00
_cell_angle_beta 60.00
_cell_angle_gamma 60.00
loop_
_space_group_symop_operation_xyz
'x,y,z'
loop_
_atom_site_label
_atom_site_type_symbol
_atom_site_fract_x
_atom_site_fract_y
_atom_site_fract_z
_atom_site_occupancy
F1 F 0.7835 0.7835 0.2165 1
F2 F 0.2165 0.7835 0.2165 1
Rb1 Rb 0.7500 0.7500 0.7500 1
Rb2 Rb 0.2500 0.2500 0.2500 1
F3 F 0.7835 0.2165 0.7835 1
F4 F 0.2165 0.2165 0.7835 1
F5 F 0.2165 0.7835 0.7835 1
Sc1 Sc 0.0000 0.0000 0.0000 1
F6 F 0.7835 0.2165 0.2165 1
Rb3 Rb 0.5000 0.5000 0.5000 1



6.
# Rb3ScF6 PBE optimized geometry
# ΔH_f (0 K) (eV/atom): -3.545
# Symmetry: P4/mnc (128)
# Final energy (Ha/atom): -0.1964
# Crystal system: tetragonal
data_Rb3ScF6
_chemical_formula_sum 'Rb6 Sc2 F12'
_space_group_name_H-M_alt 'P 1'
_space_group_IT_number 1
_cell_length_a 6.5365
_cell_length_b 6.5365
_cell_length_c 9.4665
_cell_angle_alpha 90.00
_cell_angle_beta 90.00
_cell_angle_gamma 90.00
loop_
_space_group_symop_operation_xyz
'x,y,z'
loop_
_atom_site_label
_atom_site_type_symbol
_atom_site_fract_x
_atom_site_fract_y
_atom_site_fract_z
_atom_site_occupancy
F1 F 0.3572 0.7774 0.5000 1
Rb1 Rb 0.5000 0.0000 0.7500 1
F2 F 0.0000 0.0000 0.7842 1
Rb2 Rb 0.5000 0.5000 0.0000 1
Rb3 Rb 0.5000 0.0000 0.2500 1
Rb4 Rb 0.0000 0.5000 0.7500 1
F3 F 0.2774 0.8572 0.0000 1
F4 F 0.5000 0.5000 0.2842 1
F5 F 0.8572 0.7226 0.0000 1
Rb5 Rb 0.0000 0.0000 0.5000 1
F6 F 0.0000 0.0000 0.2158 1
Rb6 Rb 0.0000 0.5000 0.2500 1
F7 F 0.1428 0.2774 0.0000 1
F8 F 0.5000 0.5000 0.7158 1
F9 F 0.7774 0.6428 0.5000 1
F10 F 0.2226 0.3572 0.5000 1
Sc1 Sc 0.5000 0.5000 0.5000 1
F11 F 0.6428 0.2226 0.5000 1
Sc2 Sc 0.0000 0.0000 0.0000 1
F12 F 0.7226 0.1428 0.0000 1



Please write out number 6 again, unchanged.
# Rb3ScF6 PBE optimized geometry
# ΔH_f (0 K) (eV/atom): -3.545
# Symmetry: P4/mnc (128)
# Final energy (Ha/atom): -0.1964
# Crystal system: tetragonal
data_Rb3ScF6
_chemical_formula_sum 'Rb6 Sc2 F12'
_space_group_name_H-M_alt 'P 1'
_space_group_IT_number 1
_cell_length_a 6.5365
_cell_length_b 6.5365
_cell_length_c 9.4665
_cell_angle_alpha 90.00
_cell_angle_beta 90.00
_cell_angle_gamma 90.00
loop_
_space_group_symop_operation_xyz
'x,y,z'
loop_
_atom_site_label
_atom_site_type_symbol
_atom_site_fract_x
_atom_site_fract_y
_atom_site_fract_z
_atom_site_occupancy
F1 F 0.3572 0.7774 0.5000 1
Rb1 Rb 0.5000 0.0000 0.7500 1
F2 F 0.0000 0.0000 0.7842 1
Rb2 Rb 0.5000 0.5000 0.0000 1
Rb3 Rb 0.5000 0.0000 0.2500 1
Rb4 Rb 0.0000 0.5000 0.7500 1
F3 F 0.2774 0.8572 0.0000 1
F4 F 0.5000 0.5000 0.2842 1
F5 F 0.8572 0.7226 0.0000 1
Rb5 Rb 0.0000 0.0000 0.5000 1
F6 F 0.0000 0.0000 0.2158 1
Rb6 Rb 0.0000 0.5000 0.2500 1
F7 F 0.1428 0.2774 0.0000 1
F8 F 0.5000 0.5000 0.7158 1
F9 F 0.7774 0.6428 0.5000 1
F10 F 0.2226 0.3572 0.5000 1
Sc1 Sc 0.5000 0.5000 0.5000 1
F11 F 0.6428 0.2226 0.5000 1
Sc2 Sc 0.0000 0.0000 0.0000 1
F12 F 0.7226 0.1428 0.0000 1



- final energy of number 6 (Rb3ScF6)?
  -0.1964 Ha/atom



- Which of these has the lowest final energy?
  number 6



Please write out number 6 again, unchanged.
# Rb3ScF6 PBE optimized geometry
# ΔH_f (0 K) (eV/atom): -3.545
# Symmetry: P4/mnc (128)
# Final energy (Ha/atom): -0.1964
# Crystal system: tetragonal
data_Rb3ScF6
_chemical_formula_sum 'Rb6 Sc2 F12'
_space_group_name_H-M_alt 'P 1'
_space_group_IT_number 1
_cell_length_a 6.5365
_cell_length_b 6.5365
_cell_length_c 9.4665
_cell_angle_alpha 90.00
_cell_angle_beta 90.00
_cell_angle_gamma 90.00
loop_
_space_group_symop_operation_xyz
'x,y,z'
loop_
_atom_site_label
_atom_site_type_symbol
_atom_site_fract_x
_atom_site_fract_y
_atom_site_fract_z
_atom_site_occupancy
F1 F 0.3572 0.7774 0.5000 1
Rb1 Rb 0.5000 0.0000 0.7500 1
F2 F 0.0000 0.0000 0.7842 1
Rb2 Rb 0.5000 0.5000 0.0000 1
Rb3 Rb 0.5000 0.0000 0.2500 1
Rb4 Rb 0.0000 0.5000 0.7500 1
F3 F 0.2774 0.8572 0.0000 1
F4 F 0.5000 0.5000 0.2842 1
F5 F 0.8572 0.7226 0.0000 1
Rb5 Rb 0.0000 0.0000 0.5000 1
F6 F 0.0000 0.0000 0.2158 1
Rb6 Rb 0.0000 0.5000 0.2500 1
F7 F 0.1428 0.2774 0.0000 1
F8 F 0.5000 0.5000 0.7158 1
F9 F 0.7774 0.6428 0.5000 1
F10 F 0.2226 0.3572 0.5000 1
Sc1 Sc 0.5000 0.5000 0.5000 1
F11 F 0.6428 0.2226 0.5000 1
Sc2 Sc 0.0000 0.0000 0.0000 1
F12 F 0.7226 0.1428 0.0000 1